# 1
Material: PrAlRh
Method: DFT, PBE
State: optimized geometry

Calculated values
Energy relative to the elements = -77 kJ per mole of atoms

Unit cell a=4.3083 b=7.1254 c=8.1331 alpha=90.00 beta=90.00 gamma=90.00
Atoms (fractional coordinates):
Al1 0.7500 0.3650 0.4387
Al2 0.7500 0.8650 0.0613
Al3 0.2500 0.6350 0.5613
Al4 0.2500 0.1350 0.9387
Rh1 0.7500 0.2253 0.1156
Rh2 0.2500 0.2747 0.6156
Rh3 0.2500 0.7747 0.8844
Rh4 0.7500 0.7253 0.3844
Pr1 0.2500 0.5349 0.1809
Pr2 0.7500 0.9651 0.6809
Pr3 0.2500 0.0349 0.3191
Pr4 0.7500 0.4651 0.8191

---

# 2
Material: K3Sn2S3BrO12
Method: DFT, PBE
State: optimized geometry

Calculated values
Magnetization = 0.005 μB per formula unit
Energy relative to the elements = -193 kJ per mole of atoms

Unit cell a=7.6067 b=10.4246 c=10.4614 alpha=60.72 beta=90.00 gamma=90.00
Atoms (fractional coordinates):
O1 0.2328 0.8820 0.6628
O2 0.3905 0.0965 0.6471
O3 0.2386 0.4899 0.8673
O4 0.4085 0.6297 0.2846
O5 0.0773 0.1012 0.6386
O6 0.9211 0.6936 0.9345
O7 0.6009 0.7174 0.9195
O8 0.5773 0.8988 0.3614
O9 0.2296 0.6633 0.4624
O10 0.5920 0.3667 0.7344
O11 0.7415 0.8867 0.5679
O12 0.0920 0.6333 0.2656
O13 0.1009 0.2826 0.0805
O14 0.4211 0.3064 0.0655
O15 0.8905 0.9035 0.3529
O16 0.7386 0.5101 0.1327
O17 0.7328 0.1180 0.3372
O18 0.9085 0.3703 0.7154
O19 0.2430 0.4740 0.1100
O20 0.7430 0.5260 0.8900
O21 0.2370 0.4243 0.4694
O22 0.7370 0.5757 0.5306
O23 0.7296 0.3367 0.5376
O24 0.2415 0.1133 0.4321
Br1 0.5005 0.9993 0.9986
Br2 0.0005 0.0007 0.0014
Sn1 0.2262 0.2283 0.7387
Sn2 0.2013 0.7196 0.0284
Sn3 0.7013 0.2804 0.9716
Sn4 0.7262 0.7717 0.2613
S1 0.2445 0.5881 0.3756
S2 0.7445 0.4119 0.6244
S3 0.2473 0.3878 0.0260
S4 0.7365 0.9569 0.4068
S5 0.7473 0.6122 0.9740
S6 0.2365 0.0431 0.5932
K1 0.9979 0.6664 0.6689
K2 0.7373 0.0090 0.7397
K3 0.4979 0.3336 0.3311
K4 0.4762 0.6735 0.6762
K5 0.9762 0.3265 0.3238
K6 0.2373 0.9910 0.2603

---

# 3
Material: ZrH3
Method: DFT, PBE
State: optimized geometry

Calculated values
Magnetization = 0.002 μB per formula unit
Energy relative to the elements = -37 kJ per mole of atoms

Unit cell a=3.1260 b=3.1260 c=3.1260 alpha=90.00 beta=90.00 gamma=90.00
Atoms (fractional coordinates):
H1 0.0000 0.5000 0.5000
H2 0.5000 0.5000 0.0000
H3 0.5000 0.0000 0.5000
Zr1 0.0000 0.0000 0.0000

---

# 4
Material: Ba2PrSbO6
Method: DFT, PBE
State: optimized geometry

Calculated values
Magnetization = 0.000 μB per formula unit
Energy relative to the elements = -289 kJ per mole of atoms
Polymorph energy (0 for the lowest one) = 0.000 eV/atom

Unit cell a=6.1319 b=6.1319 c=6.1319 alpha=60.39 beta=60.39 gamma=60.39
Atoms (fractional coordinates):
O1 0.2719 0.7748 0.6867
O2 0.7748 0.6867 0.2719
O3 0.2252 0.3133 0.7281
O4 0.3133 0.7281 0.2252
O5 0.7281 0.2252 0.3133
O6 0.6867 0.2719 0.7748
Ba1 0.2513 0.2513 0.2513
Ba2 0.7487 0.7487 0.7487
Sb1 0.5000 0.5000 0.5000
Pr1 0.0000 0.0000 0.0000

---

# 5
Material: CaMg14Sb
Method: DFT, PBE
State: optimized geometry

Calculated values
Magnetization = 0.000 μB per formula unit
Energy relative to the elements = -3 kJ per mole of atoms
Polymorph energy (0 for the lowest one) = 0.040 eV/atom

Unit cell a=6.4816 b=6.4816 c=10.5029 alpha=90.00 beta=90.00 gamma=120.00
Atoms (fractional coordinates):
Mg1 0.6637 0.3274 0.1250
Mg2 0.8333 0.6667 0.8804
Mg3 0.3355 0.1645 0.3789
Mg4 0.8290 0.1645 0.3789
Mg5 0.8333 0.6667 0.3696
Mg6 0.3355 0.1645 0.8711
Mg7 0.3355 0.6710 0.8711
Mg8 0.6693 0.8307 0.6250
Mg9 0.1615 0.8307 0.6250
Mg10 0.1726 0.8363 0.1250
Mg11 0.6693 0.3385 0.6250
Mg12 0.3355 0.6710 0.3789
Mg13 0.8290 0.1645 0.8711
Mg14 0.6637 0.8363 0.1250
Sb1 0.1667 0.3333 0.6250
Ca1 0.1667 0.3333 0.1250

---

# 6
Material: Ce4ThO10
Method: DFT, PBE
State: optimized geometry

Calculated values
Energy relative to the elements = -386 kJ per mole of atoms
Polymorph energy (0 for the lowest one) = 0.011 eV/atom

Unit cell a=16.0268 b=16.0268 c=6.7358 alpha=86.00 beta=86.00 gamma=13.94
Atoms (fractional coordinates):
O1 0.4758 0.4758 0.6753
O2 0.8743 0.8743 0.8791
O3 0.9255 0.9255 0.5212
O4 0.5242 0.5242 0.3247
O5 0.6762 0.6762 0.2747
O6 0.7749 0.7749 0.5750
O7 0.2748 0.2748 0.0751
O8 0.1257 0.1257 0.1209
O9 0.5746 0.5746 0.9714
O10 0.4254 0.4254 0.0286
O11 0.0745 0.0745 0.4788
O12 0.8246 0.8246 0.2255
O13 0.3238 0.3238 0.7253
O14 0.2251 0.2251 0.4250
O15 0.0249 0.0249 0.8258
O16 0.3744 0.3744 0.3715
O17 0.9751 0.9751 0.1742
O18 0.1754 0.1754 0.7745
O19 0.7252 0.7252 0.9249
O20 0.6256 0.6256 0.6285
Ce1 0.7994 0.7994 0.9009
Ce2 0.0000 0.0000 0.5000
Ce3 0.2006 0.2006 0.0991
Ce4 0.2996 0.2996 0.3994
Ce5 0.5000 0.5000 0.0000
Ce6 0.7004 0.7004 0.6006
Ce7 0.9000 0.9000 0.1999
Ce8 0.1000 0.1000 0.8001
Th1 0.6002 0.6002 0.2998
Th2 0.3998 0.3998 0.7002

---

# 7
Material: CaH8C6S2N2O8
Method: DFT, PBE
State: optimized geometry

Calculated values
Magnetization = 0.000 μB per formula unit
Energy relative to the elements = -105 kJ per mole of atoms

Unit cell a=7.3788 b=8.1756 c=11.7793 alpha=92.15 beta=101.88 gamma=114.82
Atoms (fractional coordinates):
H1 0.7024 0.8142 0.2515
H2 0.6696 0.1953 0.7765
H3 0.3696 0.0522 0.0679
H4 0.3304 0.8047 0.2235
H5 0.8290 0.4051 0.8004
H6 0.2777 0.6387 0.8911
H7 0.1710 0.5949 0.1996
H8 0.6304 0.9478 0.9321
H9 0.4293 0.3884 0.7979
H10 0.2622 0.6193 0.0220
H11 0.5707 0.6116 0.2021
H12 0.7223 0.3613 0.1089
H13 0.2667 0.9523 0.9391
H14 0.2976 0.1858 0.7485
H15 0.7333 0.0477 0.0609
H16 0.7378 0.3807 0.9780
O1 0.7632 0.9968 0.9938
O2 0.8218 0.6925 0.8704
O3 0.6105 0.1465 0.1653
O4 0.2014 0.7103 0.1684
O5 0.0771 0.0515 0.2180
O6 0.4544 0.0328 0.6910
O7 0.3116 0.2795 0.8079
O8 0.9229 0.9485 0.7820
O9 0.7549 0.4501 0.0524
O10 0.5456 0.9672 0.3090
O11 0.2451 0.5499 0.9476
O12 0.2368 0.0032 0.0062
O13 0.7986 0.2897 0.8316
O14 0.3895 0.8535 0.8347
O15 0.6884 0.7205 0.1921
O16 0.1782 0.3075 0.1296
Ca1 0.9242 0.7804 0.0731
Ca2 0.0758 0.2196 0.9269
C1 0.7843 0.2729 0.3643
C2 0.1754 0.2213 0.2170
C3 0.3046 0.3333 0.3329
C4 0.2157 0.7271 0.6357
C5 0.6954 0.6667 0.6671
C6 0.3645 0.8826 0.7281
C7 0.8246 0.7787 0.7830
C8 0.5272 0.5652 0.4616
C9 0.0129 0.5422 0.4492
C10 0.4728 0.4348 0.5384
C11 0.9871 0.4578 0.5508
C12 0.6355 0.1174 0.2719
N1 0.5674 0.4917 0.6536
N2 0.8998 0.4385 0.3448
N3 0.1002 0.5615 0.6552
N4 0.4326 0.5083 0.3464
S1 0.8081 0.2341 0.5107
S2 0.2932 0.2286 0.4591
S3 0.7068 0.7714 0.5409
S4 0.1920 0.7659 0.4893

---

# 8
Material: Au3Br8N3
Method: DFT, PBE
State: optimized geometry

Calculated values
Magnetization = 6.953 μB per formula unit
Energy relative to the elements = 104 kJ per mole of atoms

Unit cell a=7.6716 b=7.6716 c=19.8790 alpha=82.68 beta=82.68 gamma=64.32
Atoms (fractional coordinates):
Br1 0.8530 0.7944 0.5632
Br2 0.5042 0.8926 0.7529
Br3 0.6622 0.2488 0.8742
Br4 0.1587 0.7170 0.9309
Br5 0.4958 0.1074 0.2471
Br6 0.7944 0.8530 0.0632
Br7 0.1470 0.2056 0.4368
Br8 0.2488 0.6622 0.3742
Br9 0.3378 0.7512 0.1258
Br10 0.7512 0.3378 0.6258
Br11 0.8413 0.2830 0.0691
Br12 0.7170 0.1587 0.4309
Br13 0.8926 0.5042 0.2529
Br14 0.2056 0.1470 0.9368
Br15 0.1074 0.4958 0.7471
Br16 0.2830 0.8413 0.5691
Au1 0.0000 0.0000 0.5000
Au2 0.6199 0.6101 0.6919
Au3 0.3801 0.3899 0.3081
Au4 0.3899 0.3801 0.8081
Au5 0.6101 0.6199 0.1919
Au6 0.0000 0.0000 0.0000
N1 0.9858 0.0142 0.2500
N2 0.3116 0.3242 0.0856
N3 0.6884 0.6758 0.9144
N4 0.6758 0.6884 0.4144
N5 0.3242 0.3116 0.5856
N6 0.0142 0.9858 0.7500

---

# 9
Material: Ac2ZnIn
Method: DFT, PBE
State: optimized geometry

Calculated values
Energy relative to the elements = -30 kJ per mole of atoms

Unit cell a=5.7008 b=5.7008 c=5.7008 alpha=60.00 beta=60.00 gamma=60.00
Atoms (fractional coordinates):
Ac1 0.7500 0.7500 0.7500
Ac2 0.2500 0.2500 0.2500
Zn1 0.0000 0.0000 0.0000
In1 0.5000 0.5000 0.5000

---

# 10
Material: CeSe2
Method: DFT, PBE
State: optimized geometry

Calculated values
Magnetization = 0.001 μB per formula unit
Energy relative to the elements = -160 kJ per mole of atoms

Unit cell a=4.1026 b=4.1026 c=12.8851 alpha=90.00 beta=90.00 gamma=120.00
Atoms (fractional coordinates):
Se1 0.6667 0.3333 0.6192
Se2 0.3333 0.6667 0.1192
Se3 0.3333 0.6667 0.3808
Se4 0.6667 0.3333 0.8808
Ce1 0.0000 0.0000 0.2500
Ce2 0.0000 0.0000 0.7500

---

# 11
Material: Ba2CePbO6
Method: DFT, PBE
State: optimized geometry

Calculated values
Magnetization = 0.000 μB per formula unit
Energy relative to the elements = -277 kJ per mole of atoms

Unit cell a=6.2117 b=6.2117 c=6.2117 alpha=60.34 beta=60.34 gamma=60.34
Atoms (fractional coordinates):
O1 0.7020 0.2484 0.8009
O2 0.7516 0.1991 0.2980
O3 0.2484 0.8009 0.7020
O4 0.8009 0.7020 0.2484
O5 0.1991 0.2980 0.7516
O6 0.2980 0.7516 0.1991
Ce1 0.5000 0.5000 0.5000
Ba1 0.7501 0.7501 0.7501
Ba2 0.2499 0.2499 0.2499
Pb1 0.0000 0.0000 0.0000

---

# 12
Material: Lu2OsPd
Method: DFT, PBE
State: optimized geometry

Calculated values
Energy relative to the elements = -65 kJ per mole of atoms

Unit cell a=4.7728 b=4.7728 c=4.7728 alpha=60.00 beta=60.00 gamma=60.00
Atoms (fractional coordinates):
Lu1 0.2500 0.2500 0.2500
Lu2 0.7500 0.7500 0.7500
Pd1 0.0000 0.0000 0.0000
Os1 0.5000 0.5000 0.5000

---

# 13
Material: Er2MgTc
Method: DFT, PBE
State: optimized geometry

Calculated values
Magnetization = 0.001 μB per formula unit
Energy relative to the elements = -4 kJ per mole of atoms

Unit cell a=5.0046 b=5.0046 c=5.0046 alpha=60.00 beta=60.00 gamma=60.00
Atoms (fractional coordinates):
Er1 0.2500 0.2500 0.2500
Er2 0.7500 0.7500 0.7500
Tc1 0.0000 0.0000 0.0000
Mg1 0.5000 0.5000 0.5000

---

# 14
Material: Rb2Zr3OF12
Method: DFT, PBE
State: optimized geometry

Calculated values
Magnetization = 0.002 μB per formula unit
Energy relative to the elements = -372 kJ per mole of atoms

Unit cell a=11.1005 b=11.1005 c=11.1005 alpha=41.48 beta=41.48 gamma=41.48
Atoms (fractional coordinates):
Zr1 0.0291 0.5758 0.5758
Zr2 0.9709 0.4242 0.4242
Zr3 0.4242 0.9709 0.4242
Zr4 0.4242 0.4242 0.9709
Zr5 0.5758 0.5758 0.0291
Zr6 0.5758 0.0291 0.5758
F1 0.5977 0.0896 0.0896
F2 0.3521 0.6479 0.0000
F3 0.6479 0.3521 0.0000
F4 0.3521 0.0000 0.6479
F5 0.6481 0.6481 0.0836
F6 0.6479 0.0000 0.3521
F7 0.3519 0.3519 0.9164
F8 0.7068 0.7068 0.3708
F9 0.6481 0.0836 0.6481
F10 0.0836 0.6481 0.6481
F11 0.9104 0.9104 0.4023
F12 0.4023 0.9104 0.9104
F13 0.0896 0.0896 0.5977
F14 0.7068 0.3708 0.7068
F15 0.2932 0.6292 0.2932
F16 0.9104 0.4023 0.9104
F17 0.0896 0.5977 0.0896
F18 0.9164 0.3519 0.3519
F19 0.3708 0.7068 0.7068
F20 0.0000 0.3521 0.6479
F21 0.6292 0.2932 0.2932
F22 0.0000 0.6479 0.3521
F23 0.3519 0.9164 0.3519
F24 0.2932 0.2932 0.6292
Rb1 0.5000 0.5000 0.5000
Rb2 0.8619 0.8619 0.8619
Rb3 0.1381 0.1381 0.1381
Rb4 0.0000 0.0000 0.0000
O1 0.2866 0.2866 0.2866
O2 0.7134 0.7134 0.7134

---

# 15
Material: Sr2YSbO6
Method: DFT, PBE
State: optimized geometry

Calculated values
Magnetization = 0.000 μB per formula unit
Energy relative to the elements = -294 kJ per mole of atoms

Unit cell a=5.9392 b=5.9392 c=5.9392 alpha=60.00 beta=60.00 gamma=60.00
Atoms (fractional coordinates):
O1 0.2628 0.7372 0.7372
O2 0.2628 0.2628 0.7372
O3 0.2628 0.7372 0.2628
O4 0.7372 0.7372 0.2628
O5 0.7372 0.2628 0.2628
O6 0.7372 0.2628 0.7372
Sb1 0.5000 0.5000 0.5000
Sr1 0.7500 0.7500 0.7500
Sr2 0.2500 0.2500 0.2500
Y1 0.0000 0.0000 0.0000